(1)
# LiPr2Os | the Materials Project | r2SCAN | relaxed
data_LiPr2Os
_cell_length_a 7.183
_cell_length_b 7.183
_cell_length_c 7.183
_cell_angle_alpha 90.00
_cell_angle_beta 90.00
_cell_angle_gamma 90.00
_symmetry_space_group_name_H-M 'F m -3 m'
_symmetry_Int_Tables_number 225
_symmetry_space_group_name_Hall '-F 4 2 3'
loop_
_atom_site_label
_atom_site_type_symbol
_atom_site_fract_x
_atom_site_fract_y
_atom_site_fract_z
_atom_site_occupancy
Li1 Li 0.000 0.000 0.000 1
Pr1 Pr 0.250 0.250 0.250 1
Os1 Os 0.000 0.000 0.500 1
# VASP energy   -457.72 eV for the cell shown
# E_form   -0.06 eV per atom
# Spin magnetization   0.00 μB/cell

***

(2)
# Li3P7 | the Materials Project | r2SCAN | relaxed
data_Li3P7
_cell_length_a 7.619
_cell_length_b 9.798
_cell_length_c 10.487
_cell_angle_alpha 90.00
_cell_angle_beta 90.00
_cell_angle_gamma 90.00
_symmetry_space_group_name_H-M 'P 21 21 21'
_symmetry_Int_Tables_number 19
_symmetry_space_group_name_Hall 'P 2ac 2ab'
loop_
_atom_site_label
_atom_site_type_symbol
_atom_site_fract_x
_atom_site_fract_y
_atom_site_fract_z
_atom_site_occupancy
Li1 Li 0.067 0.025 0.014 1
Li2 Li 0.096 0.802 0.807 1
Li3 Li 0.151 0.692 0.316 1
P1 P 0.034 0.930 0.235 1
P2 P 0.035 0.943 0.567 1
P3 P 0.093 0.633 0.004 1
P4 P 0.125 0.281 0.004 1
P5 P 0.138 0.048 0.389 1
P6 P 0.186 0.429 0.617 1
P7 P 0.217 0.374 0.180 1
# VASP energy   -297.74 eV for the cell shown
# E_form   -0.43 eV per atom
# Spin magnetization   0.00 μB/cell

***

(3)
# LiP | the Materials Project | r2SCAN | relaxed
data_LiP
_cell_length_a 5.582
_cell_length_b 4.930
_cell_length_c 10.222
_cell_angle_alpha 90.00
_cell_angle_beta 117.93
_cell_angle_gamma 90.00
_symmetry_space_group_name_H-M 'P 1 21/c 1'
_symmetry_Int_Tables_number 14
_symmetry_space_group_name_Hall '-P 2ybc'
loop_
_atom_site_label
_atom_site_type_symbol
_atom_site_fract_x
_atom_site_fract_y
_atom_site_fract_z
_atom_site_occupancy
Li1 Li 0.217 0.113 0.329 1
Li2 Li 0.229 0.660 0.531 1
P1 P 0.306 0.158 0.613 1
P2 P 0.316 0.605 0.292 1
# VASP energy   -100.98 eV for the cell shown
# E_form   -0.62 eV per atom
# Spin magnetization   0.00 μB/cell

***

(4)
# Li3P | the Materials Project | r2SCAN | relaxed
data_Li3P
_cell_length_a 4.2193
_cell_length_b 4.2193
_cell_length_c 7.5471
_cell_angle_alpha 90.00
_cell_angle_beta 90.00
_cell_angle_gamma 120.00
_symmetry_space_group_name_H-M 'P 63/m m c'
_symmetry_Int_Tables_number 194
_symmetry_space_group_name_Hall '-P 6c 2c'
loop_
_atom_site_label
_atom_site_type_symbol
_atom_site_fract_x
_atom_site_fract_y
_atom_site_fract_z
_atom_site_occupancy
Li1 Li 0.0000 0.0000 0.2500 1
Li2 Li 0.3333 0.6667 0.0836 1
P1 P 0.3333 0.6667 0.7500 1
# VASP energy   -38.80 eV for the cell shown
# E_form   -0.81 eV per atom
# Spin magnetization   0.00 μB/cell

***

(5)
# LiP7 | the Materials Project | r2SCAN | relaxed
data_LiP7
_cell_length_a 13.558
_cell_length_b 13.558
_cell_length_c 14.769
_cell_angle_alpha 90.00
_cell_angle_beta 90.00
_cell_angle_gamma 90.00
_symmetry_space_group_name_H-M 'I 41/a c d'
_symmetry_Int_Tables_number 142
loop_
_symmetry_equiv_pos_as_xyz
'x,y,z'
'-x,-y,-z'
'-y+1/4,x+3/4,z+1/4'
'y+1/4,-x+3/4,-z+1/4'
'-x+1/2,-y,z+1/2'
'x+1/2,y,-z+1/2'
'y+1/4,-x+1/4,z+3/4'
'-y+1/4,x+1/4,-z+3/4'
'x,-y,-z+1/2'
'-x,y,z+1/2'
'-y+1/4,-x+1/4,-z+1/4'
'y+1/4,x+1/4,z+1/4'
'-x+1/2,y,-z'
'x+1/2,-y,z'
'y+1/4,x+3/4,-z+3/4'
'-y+1/4,-x+3/4,z+3/4'
'x+1/2,y+1/2,z+1/2'
'-x+1/2,-y+1/2,-z+1/2'
'-y+3/4,x+1/4,z+3/4'
'y+3/4,-x+1/4,-z+3/4'
'-x,-y+1/2,z'
'x,y+1/2,-z'
'y+3/4,-x+3/4,z+1/4'
'-y+3/4,x+3/4,-z+1/4'
'x+1/2,-y+1/2,-z'
'-x+1/2,y+1/2,z'
'-y+3/4,-x+3/4,-z+3/4'
'y+3/4,x+3/4,z+3/4'
'-x,y+1/2,-z+1/2'
'x,-y+1/2,z+1/2'
'y+3/4,x+1/4,-z+1/4'
'-y+3/4,-x+1/4,z+1/4'
loop_
_atom_site_label
_atom_site_type_symbol
_atom_site_fract_x
_atom_site_fract_y
_atom_site_fract_z
_atom_site_occupancy
Li1 Li 0.132 0.118 0.125 1
P1 P 0.040 0.000 0.250 1
P2 P 0.060 0.063 0.852 1
P3 P 0.077 0.079 0.578 1
P4 P 0.178 0.046 0.465 1
# VASP energy   -1070.83 eV for the cell shown
# E_form   -0.19 eV per atom
# Spin magnetization   0.00 μB/cell

***

(6)
# Li10ZnP4S16 | the Materials Project | r2SCAN | relaxed
data_Li10ZnP4S16
_cell_length_a 12.285
_cell_length_b 7.843
_cell_length_c 17.774
_cell_angle_alpha 90.00
_cell_angle_beta 133.71
_cell_angle_gamma 90.00
_symmetry_space_group_name_H-M 'P 1 c 1'
_symmetry_Int_Tables_number 7
_symmetry_space_group_name_Hall 'P -2yc'
loop_
_atom_site_label
_atom_site_type_symbol
_atom_site_fract_x
_atom_site_fract_y
_atom_site_fract_z
_atom_site_occupancy
Li1 Li 0.000 0.224 0.000 1
Li2 Li 0.058 0.252 0.804 1
Li3 Li 0.059 0.248 0.308 1
Li4 Li 0.234 0.487 0.229 1
Li5 Li 0.338 0.011 0.578 1
Li6 Li 0.506 0.243 0.499 1
Li7 Li 0.572 0.253 0.816 1
Li8 Li 0.572 0.256 0.318 1
Li9 Li 0.742 0.496 0.734 1
Li10 Li 0.998 0.251 0.502 1
Zn1 Zn 0.506 0.243 0.001 1
P1 P 0.250 0.002 0.750 1
P2 P 0.320 0.498 0.065 1
P3 P 0.744 0.008 0.245 1
P4 P 0.819 0.491 0.063 1
S1 S 0.020 0.494 0.216 1
S2 S 0.087 0.001 0.748 1
S3 S 0.144 0.487 0.054 1
S4 S 0.165 0.016 0.602 1
S5 S 0.300 0.291 0.489 1
S6 S 0.303 0.278 0.991 1
S7 S 0.380 0.212 0.320 1
S8 S 0.383 0.222 0.824 1
S9 S 0.522 0.499 0.215 1
S10 S 0.583 0.004 0.249 1
S11 S 0.643 0.494 0.060 1
S12 S 0.656 0.006 0.095 1
S13 S 0.799 0.288 0.497 1
S14 S 0.801 0.273 0.996 1
S15 S 0.873 0.207 0.816 1
S16 S 0.874 0.221 0.320 1
# VASP energy   -457.10 eV for the cell shown
# E_form   -1.01 eV per atom
# Spin magnetization   0.00 μB/cell

***

(7)
# Li7PSe6 | the Materials Project | r2SCAN | relaxed
data_Li7PSe6
_cell_length_a 14.940
_cell_length_b 7.423
_cell_length_c 10.316
_cell_angle_alpha 90.00
_cell_angle_beta 90.00
_cell_angle_gamma 90.00
_symmetry_space_group_name_H-M 'P n a 21'
_symmetry_Int_Tables_number 33
_symmetry_space_group_name_Hall 'P 2c -2n'
loop_
_atom_site_label
_atom_site_type_symbol
_atom_site_fract_x
_atom_site_fract_y
_atom_site_fract_z
_atom_site_occupancy
Li1 Li 0.027 0.161 0.000 1
Li2 Li 0.040 0.454 0.655 1
Li3 Li 0.108 0.066 0.672 1
Li4 Li 0.125 0.654 0.843 1
Li5 Li 0.185 0.728 0.365 1
Li6 Li 0.220 0.391 0.051 1
Li7 Li 0.225 0.470 0.655 1
P1 P 0.119 0.230 0.354 1
Se1 Se 0.002 0.211 0.484 1
Se2 Se 0.112 0.998 0.222 1
Se3 Se 0.117 0.477 0.235 1
Se4 Se 0.128 0.741 0.601 1
Se5 Se 0.140 0.303 0.840 1
Se6 Se 0.238 0.228 0.481 1
# VASP energy   -508.95 eV for the cell shown
# E_form   -1.12 eV per atom
# Spin magnetization   0.00 μB/cell

***

(8)
# LiPaRu2 | the Materials Project | r2SCAN | relaxed
data_LiPaRu2
_cell_length_a 6.359
_cell_length_b 6.359
_cell_length_c 6.359
_cell_angle_alpha 90.00
_cell_angle_beta 90.00
_cell_angle_gamma 90.00
_symmetry_space_group_name_H-M 'F m -3 m'
_symmetry_Int_Tables_number 225
_symmetry_space_group_name_Hall '-F 4 2 3'
loop_
_atom_site_label
_atom_site_type_symbol
_atom_site_fract_x
_atom_site_fract_y
_atom_site_fract_z
_atom_site_occupancy
Li1 Li 0.000 0.000 0.000 1
Pa1 Pa 0.000 0.000 0.500 1
Ru1 Ru 0.250 0.250 0.250 1
# VASP energy   -526.03 eV for the cell shown
# E_form   -0.35 eV per atom
# Spin magnetization   0.00 μB/cell

***

(9)
# Li7Pb2 | the Materials Project | r2SCAN | relaxed
data_Li7Pb2
_cell_length_a 4.7069
_cell_length_b 4.7069
_cell_length_c 8.5276
_cell_angle_alpha 90.00
_cell_angle_beta 90.00
_cell_angle_gamma 120.00
_symmetry_space_group_name_H-M 'P -3 m 1'
_symmetry_Int_Tables_number 164
_symmetry_space_group_name_Hall '-P 3 2"'
loop_
_atom_site_label
_atom_site_type_symbol
_atom_site_fract_x
_atom_site_fract_y
_atom_site_fract_z
_atom_site_occupancy
Li1 Li 0.0000 0.0000 0.0000 1
Li2 Li 0.0000 0.0000 0.3209 1
Li3 Li 0.3333 0.6667 0.5773 1
Li4 Li 0.3333 0.6667 0.8982 1
Pb1 Pb 0.3333 0.6667 0.2370 1
# VASP energy   -132.82 eV for the cell shown
# E_form   -0.39 eV per atom
# Spin magnetization   0.00 μB/cell

***

(10)
# Li2PrPb | the Materials Project | r2SCAN | relaxed
data_Li2PrPb
_cell_length_a 7.018
_cell_length_b 7.018
_cell_length_c 7.018
_cell_angle_alpha 90.00
_cell_angle_beta 90.00
_cell_angle_gamma 90.00
_symmetry_space_group_name_H-M 'F m -3 m'
_symmetry_Int_Tables_number 225
_symmetry_space_group_name_Hall '-F 4 2 3'
loop_
_atom_site_label
_atom_site_type_symbol
_atom_site_fract_x
_atom_site_fract_y
_atom_site_fract_z
_atom_site_occupancy
Li1 Li 0.250 0.250 0.250 1
Pr1 Pr 0.000 0.000 0.000 1
Pb1 Pb 0.000 0.000 0.500 1
# VASP energy   -369.03 eV for the cell shown
# E_form   -0.45 eV per atom
# Spin magnetization   0.00 μB/cell

***

(11)
# Rb3LiPb4 | the Materials Project | r2SCAN | relaxed
data_Rb3LiPb4
_cell_length_a 7.277
_cell_length_b 16.433
_cell_length_c 10.658
_cell_angle_alpha 90.00
_cell_angle_beta 90.00
_cell_angle_gamma 90.00
_symmetry_space_group_name_H-M 'C m c m'
_symmetry_Int_Tables_number 63
_symmetry_space_group_name_Hall '-C 2c 2'
loop_
_atom_site_label
_atom_site_type_symbol
_atom_site_fract_x
_atom_site_fract_y
_atom_site_fract_z
_atom_site_occupancy
Rb1 Rb 0.000 0.113 0.044 1
Rb2 Rb 0.000 0.274 0.750 1
Li1 Li 0.000 0.500 0.000 1
Pb1 Pb 0.000 0.333 0.107 1
Pb2 Pb 0.217 0.466 0.250 1
# VASP energy   -1088.95 eV for the cell shown
# E_form   -0.36 eV per atom
# Spin magnetization   0.00 μB/cell

***

(12)
# Li2YbPb | the Materials Project | r2SCAN | relaxed
data_Li2YbPb
_cell_length_a 6.798
_cell_length_b 6.798
_cell_length_c 6.798
_cell_angle_alpha 90.00
_cell_angle_beta 90.00
_cell_angle_gamma 90.00
_symmetry_space_group_name_H-M 'F m -3 m'
_symmetry_Int_Tables_number 225
_symmetry_space_group_name_Hall '-F 4 2 3'
loop_
_atom_site_label
_atom_site_type_symbol
_atom_site_fract_x
_atom_site_fract_y
_atom_site_fract_z
_atom_site_occupancy
Li1 Li 0.250 0.250 0.250 1
Yb1 Yb 0.000 0.000 0.000 1
Pb1 Pb 0.000 0.000 0.500 1
# VASP energy   -394.93 eV for the cell shown
# E_form   -0.29 eV per atom
# Spin magnetization   0.00 μB/cell

***

(13)
# LiPd3 | the Materials Project | r2SCAN | relaxed
data_LiPd3
_cell_length_a 3.850
_cell_length_b 3.850
_cell_length_c 3.850
_cell_angle_alpha 90.00
_cell_angle_beta 90.00
_cell_angle_gamma 90.00
_symmetry_space_group_name_H-M 'P m -3 m'
_symmetry_Int_Tables_number 221
_symmetry_space_group_name_Hall '-P 4 2 3'
loop_
_atom_site_label
_atom_site_type_symbol
_atom_site_fract_x
_atom_site_fract_y
_atom_site_fract_z
_atom_site_occupancy
Li1 Li 0.000 0.000 0.000 1
Pd1 Pd 0.000 0.500 0.500 1
# VASP energy   -72.30 eV for the cell shown
# E_form   -0.26 eV per atom
# Spin magnetization   0.02 μB/cell

***

(14)
# Li15Pd4 | the Materials Project | r2SCAN | relaxed
data_Li15Pd4
_cell_length_a 10.559
_cell_length_b 10.559
_cell_length_c 10.559
_cell_angle_alpha 90.00
_cell_angle_beta 90.00
_cell_angle_gamma 90.00
_symmetry_space_group_name_H-M 'I -4 3 d'
_symmetry_Int_Tables_number 220
_symmetry_space_group_name_Hall 'I -4bd 2c 3'
loop_
_atom_site_label
_atom_site_type_symbol
_atom_site_fract_x
_atom_site_fract_y
_atom_site_fract_z
_atom_site_occupancy
Li1 Li 0.000 0.250 0.875 1
Li2 Li 0.040 0.120 0.656 1
Pd1 Pd 0.044 0.044 0.044 1
# VASP energy   -528.79 eV for the cell shown
# E_form   -0.24 eV per atom
# Spin magnetization   0.00 μB/cell